# PBE-GGA RbAlAgF6, optimized geometry
# **Magnetization**: 1.00 μB/f.u.
# **Formation energy from the elements**: -2897 meV/atom
data_RbAlAgF6
_symmetry_space_group_name_H-M 'P n m a'
_symmetry_Int_Tables_number 62
_symmetry_space_group_name_Hall '-P 2ac 2n'
_cell_length_a 7.1639
_cell_length_b 7.3352
_cell_length_c 10.4774
_cell_angle_alpha 90.00
_cell_angle_beta 90.00
_cell_angle_gamma 90.00
loop_
_atom_site_label
_atom_site_fract_x
_atom_site_fract_y
_atom_site_fract_z
Rb1 0.0179 0.2500 0.1360
Al1 0.0000 0.0000 0.5000
Ag1 0.2156 0.2500 0.7536
F1 0.0382 0.7500 0.1456
F2 0.0396 0.2500 0.5023
F3 0.1351 0.5213 0.6471
F4 0.2128 0.5258 0.4084